1.
Computed, not measured: YbTlCu4 after structural relaxation at the r2SCAN level of DFT.

Unit cell a=5.0521 b=5.0521 c=5.0521 alpha=60.00 beta=60.00 gamma=60.00
With the nearest neighbours (Å) after each atom.
Element x y z (fractional)
1 Yb 0.0000 0.0000 0.0000  12 Cu 2.96, 4 Tl 3.09
2 Tl 0.2500 0.2500 0.2500  12 Cu 2.96, 4 Yb 3.09
3 Cu 0.1244 0.6252 0.6252  6 Cu 2.52-2.53
4 Cu 0.6252 0.1244 0.6252  6 Cu 2.52-2.53
5 Cu 0.6252 0.6252 0.1244  6 Cu 2.52-2.53
6 Cu 0.6252 0.6252 0.6252  6 Cu 2.52-2.53

Calculated values
The calculated volume is 91.2 Å³ per cell. The calculation puts the electronic total energy at -1.64632 Ry per atom. Its symmetry is F-43m.

2.
Computed, not measured: CsInS2 after structural relaxation at the r2SCAN level of DFT.

Unit cell a=7.9860 b=7.9860 c=16.5006 alpha=96.96 beta=96.96 gamma=90.01
With the nearest neighbours (Å) after each atom.
Element x y z (fractional)
1 Cs 0.1516 0.7768 0.6078  6 S 3.55-3.60
2 Cs 0.2232 0.8484 0.8922  6 S 3.55-3.60
3 Cs 0.2242 0.3475 0.8927  6 S 3.55-3.66
4 Cs 0.3475 0.2242 0.3927  6 S 3.55-3.66
5 Cs 0.6525 0.7758 0.6073  6 S 3.55-3.66
6 Cs 0.7758 0.6525 0.1073  6 S 3.55-3.66
7 Cs 0.7768 0.1516 0.1078  6 S 3.55-3.60
8 Cs 0.8484 0.2232 0.3922  6 S 3.55-3.60
9 In 0.0858 0.7086 0.3346  4 S 2.47-2.49
10 In 0.2912 0.4187 0.1651  4 S 2.47-2.49
11 In 0.2914 0.9142 0.1654  4 S 2.47-2.49
12 In 0.4187 0.2912 0.6651  4 S 2.47-2.49
13 In 0.5813 0.7088 0.3349  4 S 2.47-2.49
14 In 0.7086 0.0858 0.8346  4 S 2.47-2.49
15 In 0.7088 0.5813 0.8349  4 S 2.47-2.49
16 In 0.9142 0.2914 0.6654  4 S 2.47-2.49
17 S 0.0555 0.4315 0.2495  2 In 2.47
18 S 0.0561 0.9439 0.2500  2 In 2.47
19 S 0.1436 0.2688 0.5751  2 In 2.49
20 S 0.2688 0.1436 0.0751  2 In 2.49
21 S 0.2693 0.6436 0.0729  2 In 2.48
22 S 0.3564 0.7307 0.4271  2 In 2.48
23 S 0.4314 0.5686 0.7500  2 In 2.47
24 S 0.4315 0.0555 0.7495  2 In 2.47
25 S 0.5685 0.9445 0.2505  2 In 2.47
26 S 0.5686 0.4314 0.2500  2 In 2.47
27 S 0.6436 0.2693 0.5729  2 In 2.48
28 S 0.7307 0.3564 0.9271  2 In 2.48
29 S 0.7312 0.8564 0.9249  2 In 2.49
30 S 0.8564 0.7312 0.4249  2 In 2.49
31 S 0.9439 0.0561 0.7500  2 In 2.47
32 S 0.9445 0.5685 0.7505  2 In 2.47

Calculated values
The calculated volume is 1036.8 Å³ per cell. The calculation puts the electronic total energy at -1.25809 Ry per atom. Its symmetry is C2/c.

3.
Computed, not measured: Na2WO4 after structural relaxation at the r2SCAN level of DFT.

Unit cell a=6.4169 b=6.4169 c=6.4169 alpha=60.00 beta=60.00 gamma=60.00
With the nearest neighbours (Å) after each atom.
Element x y z (fractional)
1 Na 0.0000 0.0000 0.0000  6 O 2.37
2 Na 0.0000 0.0000 0.5000  6 O 2.37
3 Na 0.0000 0.5000 0.0000  6 O 2.37
4 Na 0.5000 0.0000 0.0000  6 O 2.37
5 W 0.3750 0.3750 0.3750  4 O 1.79
6 W 0.6250 0.6250 0.6250  4 O 1.79
7 O 0.2609 0.2609 0.2609  1 W 1.79
8 O 0.2609 0.2609 0.7173  1 W 1.79
9 O 0.2609 0.7173 0.2609  1 W 1.79
10 O 0.2827 0.7391 0.7391  1 W 1.79
11 O 0.7173 0.2609 0.2609  1 W 1.79
12 O 0.7391 0.2827 0.7391  1 W 1.79
13 O 0.7391 0.7391 0.2827  1 W 1.79
14 O 0.7391 0.7391 0.7391  1 W 1.79

Calculated values
The calculated volume is 186.8 Å³ per cell. The calculation puts the electronic total energy at -1.03608 Ry per atom. Its symmetry is Fd-3m.

4.
Computed, not measured: UCl2O2 after structural relaxation at the r2SCAN level of DFT.

Unit cell a=5.7634 b=8.4441 c=8.7380 alpha=90.00 beta=90.00 gamma=90.00
With the nearest neighbours (Å) after each atom.
Element x y z (fractional)
1 U 0.0698 0.2500 0.0698  2 O 1.76-1.84
2 U 0.4302 0.7500 0.5698  2 O 1.76-1.84
3 U 0.5698 0.2500 0.4302  2 O 1.76-1.84
4 U 0.9302 0.7500 0.9302  2 O 1.76-1.84
5 Cl 0.1866 0.5583 0.1228  2 U 2.73-2.76
6 Cl 0.1866 0.9417 0.1228  2 U 2.73-2.76
7 Cl 0.3134 0.0583 0.6228  2 U 2.73-2.76
8 Cl 0.3134 0.4417 0.6228  2 U 2.73-2.76
9 Cl 0.6866 0.5583 0.3772  2 U 2.73-2.76
10 Cl 0.6866 0.9417 0.3772  2 U 2.73-2.76
11 Cl 0.8134 0.0583 0.8772  2 U 2.73-2.76
12 Cl 0.8134 0.4417 0.8772  2 U 2.73-2.76
13 O 0.1632 0.7500 0.7863  1 U 1.84
14 O 0.1969 0.7500 0.4393  1 U 1.76
15 O 0.3031 0.2500 0.9393  1 U 1.76
16 O 0.3368 0.2500 0.2863  1 U 1.84
17 O 0.6632 0.7500 0.7137  1 U 1.84
18 O 0.6969 0.7500 0.0607  1 U 1.76
19 O 0.8031 0.2500 0.5607  1 U 1.76
20 O 0.8368 0.2500 0.2137  1 U 1.84

Calculated values
The calculated volume is 425.2 Å³ per cell. The calculation puts the electronic total energy at -1.72123 Ry per atom. Its symmetry is Pnma.